Entry from the Materials Project database: Ba5Ce4ZrO15 after structural relaxation (PBE).

a = 10.858 Å, b = 10.858 Å, c = 15.306 Å
α = 118.57°, β = 118.57°, γ = 33.32°
Fractional positions:
Ba 0.002 0.002 0.254
Ba 0.198 0.198 0.055
Ba 0.204 0.204 0.549
Ba 0.395 0.395 0.846
Ba 0.399 0.399 0.349
Ba 0.601 0.601 0.651
Ba 0.605 0.605 0.154
Ba 0.796 0.796 0.451
Ba 0.802 0.802 0.945
Ba 0.998 0.998 0.746
Ce 0.000 0.000 0.000
Ce 0.000 0.000 0.500
Ce 0.201 0.201 0.798
Ce 0.397 0.397 0.599
Ce 0.400 0.400 0.101
Ce 0.600 0.600 0.899
Ce 0.603 0.603 0.401
Ce 0.799 0.799 0.202
Zr 0.199 0.199 0.300
Zr 0.801 0.801 0.700
O 0.009 0.525 0.769
O 0.077 0.590 0.630
O 0.090 0.090 0.169
O 0.116 0.116 0.634
O 0.118 0.615 0.177
O 0.181 0.685 0.025
O 0.216 0.714 0.575
O 0.285 0.285 0.964
O 0.286 0.784 0.425
O 0.308 0.308 0.432
O 0.315 0.819 0.975
O 0.385 0.882 0.823
O 0.410 0.923 0.370
O 0.475 0.991 0.231
O 0.483 0.483 0.764
O 0.517 0.517 0.236
O 0.525 0.009 0.769
O 0.590 0.077 0.630
O 0.615 0.118 0.177
O 0.685 0.181 0.025
O 0.692 0.692 0.568
O 0.714 0.216 0.575
O 0.715 0.715 0.036
O 0.784 0.286 0.425
O 0.819 0.315 0.975
O 0.882 0.385 0.823
O 0.884 0.884 0.366
O 0.910 0.910 0.831
O 0.923 0.410 0.370
O 0.991 0.475 0.231

Calculated values
The value obtained for the raw total energy is -7.823 eV/atom. The volume is 858.9 Å³ per cell. Its symmetry is C2/m. The mass density is 6.1 g/cm³.

---

Entry from the Materials Project database: Zr2Sn after structural relaxation (PBE).

a = 5.651 Å, b = 5.651 Å, c = 4.952 Å
α = 90.00°, β = 90.00°, γ = 120.00°
Fractional positions:
Zr 0.000 0.000 0.000
Zr 0.000 0.351 0.500
Zr 0.351 0.000 0.500
Zr 0.649 0.649 0.500
Sn 0.333 0.667 0.000
Sn 0.667 0.333 0.000

Calculated values
The value obtained for the raw total energy is -7.355 eV/atom. The volume is 137.0 Å³ per cell. Its symmetry is P-62m. The mass density is 7.3 g/cm³.

---

Entry from the Materials Project database: Li2BiS2 after structural relaxation (PBE).

a = 7.286 Å, b = 7.286 Å, c = 7.286 Å
α = 147.52°, β = 46.23°, γ = 148.01°
Fractional positions:
Li 0.240 0.000 0.240
Li 0.760 0.000 0.760
Bi 0.487 0.987 0.500
S 0.139 0.490 0.648
S 0.842 0.490 0.352

Calculated values
The value obtained for the raw total energy is -4.025 eV/atom. The volume is 109.6 Å³ per cell. Its symmetry is Imm2. The mass density is 4.3 g/cm³.

---

Entry from the Materials Project database: Sr2ZrTiO6 after structural relaxation (PBE).

a = 5.749 Å, b = 5.749 Å, c = 5.749 Å
α = 120.34°, β = 120.34°, γ = 89.41°
Fractional positions:
Sr 0.250 0.750 0.500
Sr 0.750 0.250 0.500
Zr 0.000 0.000 0.000
Ti 0.500 0.500 0.000
O 0.222 0.705 0.927
O 0.258 0.258 0.000
O 0.295 0.222 0.517
O 0.705 0.778 0.483
O 0.742 0.742 0.000
O 0.778 0.295 0.073

Calculated values
The value obtained for the raw total energy is -8.129 eV/atom. The volume is 133.7 Å³ per cell. Its symmetry is I4/m. The mass density is 5.1 g/cm³.

---

Entry from the Materials Project database: CdAs after structural relaxation (PBE).

a = 6.111 Å, b = 7.957 Å, c = 8.199 Å
α = 90.00°, β = 90.00°, γ = 90.00°
Fractional positions:
Cd 0.047 0.130 0.138
Cd 0.047 0.370 0.638
Cd 0.453 0.630 0.138
Cd 0.453 0.870 0.638
Cd 0.547 0.130 0.362
Cd 0.547 0.370 0.862
Cd 0.953 0.630 0.362
Cd 0.953 0.870 0.862
As 0.133 0.565 0.904
As 0.133 0.935 0.404
As 0.367 0.065 0.904
As 0.367 0.435 0.404
As 0.633 0.565 0.596
As 0.633 0.935 0.096
As 0.867 0.065 0.596
As 0.867 0.435 0.096

Calculated values
The value obtained for the raw total energy is -2.864 eV/atom. The volume is 398.7 Å³ per cell. Its symmetry is Pbca. The mass density is 6.2 g/cm³.

---

Entry from the Materials Project database: MgCd3 after structural relaxation (PBE).

a = 3.176 Å, b = 5.220 Å, c = 5.354 Å
α = 90.00°, β = 90.00°, γ = 90.00°
Fractional positions:
Mg 0.000 0.000 0.000
Cd 0.000 0.500 0.667
Cd 0.500 0.000 0.495
Cd 0.500 0.500 0.162

Calculated values
The value obtained for the raw total energy is -1.130 eV/atom. The volume is 88.8 Å³ per cell. Its symmetry is Pmm2. The mass density is 6.8 g/cm³.

---

Entry from the Materials Project database: Ni3S after structural relaxation (PBE).

a = 5.086 Å, b = 5.086 Å, c = 4.016 Å
α = 90.00°, β = 90.00°, γ = 120.00°
Fractional positions:
Ni 0.167 0.334 0.250
Ni 0.167 0.833 0.250
Ni 0.334 0.167 0.750
Ni 0.666 0.833 0.250
Ni 0.833 0.167 0.750
Ni 0.833 0.666 0.750
S 0.333 0.667 0.750
S 0.667 0.333 0.250

Calculated values
The value obtained for the raw total energy is -5.230 eV/atom. The volume is 90.0 Å³ per cell. Its symmetry is P6_3/mmc. The mass density is 7.7 g/cm³.

---

Entry from the Materials Project database: PAuS4 after structural relaxation (PBE).

a = 6.406 Å, b = 7.422 Å, c = 8.659 Å
α = 83.08°, β = 84.05°, γ = 78.42°
Fractional positions:
P 0.235 0.250 0.245
P 0.765 0.750 0.755
Au 0.000 0.500 0.500
Au 0.500 0.000 0.000
S 0.062 0.741 0.637
S 0.237 0.276 0.006
S 0.324 0.464 0.336
S 0.442 0.999 0.276
S 0.558 0.001 0.724
S 0.676 0.536 0.664
S 0.763 0.724 0.994
S 0.938 0.259 0.363

Calculated values
The value obtained for the raw total energy is -4.376 eV/atom. The volume is 399.0 Å³ per cell. Its symmetry is P-1. The mass density is 3.0 g/cm³.

---

Entry from the Materials Project database: Sb2P3O12 after structural relaxation (PBE).

a = 9.146 Å, b = 9.146 Å, c = 9.146 Å
α = 55.15°, β = 55.15°, γ = 55.15°
Fractional positions:
Sb 0.142 0.142 0.142
Sb 0.348 0.348 0.348
Sb 0.652 0.652 0.652
Sb 0.858 0.858 0.858
P 0.043 0.745 0.456
P 0.255 0.544 0.957
P 0.456 0.043 0.745
P 0.544 0.957 0.255
P 0.745 0.456 0.043
P 0.957 0.255 0.544
O 0.025 0.786 0.607
O 0.125 0.748 0.872
O 0.128 0.875 0.252
O 0.157 0.220 0.522
O 0.178 0.531 0.484
O 0.214 0.393 0.975
O 0.220 0.522 0.157
O 0.252 0.128 0.875
O 0.393 0.975 0.214
O 0.469 0.516 0.822
O 0.478 0.843 0.780
O 0.484 0.178 0.531
O 0.516 0.822 0.469
O 0.522 0.157 0.220
O 0.531 0.484 0.178
O 0.607 0.025 0.786
O 0.748 0.872 0.125
O 0.780 0.478 0.843
O 0.786 0.607 0.025
O 0.822 0.469 0.516
O 0.843 0.780 0.478
O 0.872 0.125 0.748
O 0.875 0.252 0.128
O 0.975 0.214 0.393

Calculated values
The value obtained for the raw total energy is -6.763 eV/atom. The volume is 479.9 Å³ per cell. Its symmetry is R-3. The mass density is 3.7 g/cm³.

---

Entry from the Materials Project database: La2AlNi9 after structural relaxation (PBE).

a = 4.986 Å, b = 4.986 Å, c = 8.035 Å
α = 90.00°, β = 90.00°, γ = 119.17°
Fractional positions:
La 0.000 0.000 0.235
La 0.000 0.000 0.765
Al 0.500 0.500 0.500
Ni 0.000 0.500 0.000
Ni 0.000 0.500 0.500
Ni 0.331 0.669 0.251
Ni 0.331 0.669 0.749
Ni 0.500 0.000 0.000
Ni 0.500 0.000 0.500
Ni 0.500 0.500 0.000
Ni 0.669 0.331 0.251
Ni 0.669 0.331 0.749

Calculated values
The value obtained for the raw total energy is -5.845 eV/atom. The volume is 174.4 Å³ per cell. Its symmetry is Cmmm. The mass density is 7.9 g/cm³.

---

Entry from the Materials Project database: Ba2GdGaTe5 after structural relaxation (PBE).

a = 7.887 Å, b = 9.386 Å, c = 10.214 Å
α = 103.46°, β = 103.16°, γ = 107.38°
Fractional positions:
Ba 0.139 0.481 0.292
Ba 0.145 0.986 0.288
Ba 0.855 0.014 0.712
Ba 0.861 0.519 0.708
Gd 0.499 0.233 0.999
Gd 0.501 0.767 0.001
Ga 0.308 0.373 0.688
Ga 0.692 0.627 0.312
Te 0.016 0.759 0.509
Te 0.198 0.908 0.943
Te 0.208 0.409 0.930
Te 0.487 0.174 0.680
Te 0.487 0.660 0.683
Te 0.513 0.340 0.317
Te 0.513 0.826 0.320
Te 0.792 0.591 0.070
Te 0.802 0.092 0.057
Te 0.984 0.241 0.491

Calculated values
The value obtained for the raw total energy is -5.375 eV/atom. The volume is 664.8 Å³ per cell. Its symmetry is P-1. The mass density is 5.7 g/cm³.

---

Entry from the Materials Project database: Ce9Sb16Cl3 after structural relaxation (PBE).

a = 20.754 Å, b = 20.754 Å, c = 4.318 Å
α = 90.00°, β = 90.00°, γ = 120.00°
Fractional positions:
Ce 0.010 0.608 0.250
Ce 0.096 0.857 0.250
Ce 0.143 0.239 0.250
Ce 0.231 0.540 0.750
Ce 0.239 0.096 0.750
Ce 0.309 0.769 0.750
Ce 0.392 0.401 0.250
Ce 0.401 0.010 0.750
Ce 0.460 0.691 0.750
Ce 0.540 0.309 0.250
Ce 0.599 0.990 0.250
Ce 0.608 0.599 0.750
Ce 0.691 0.231 0.250
Ce 0.761 0.904 0.250
Ce 0.769 0.460 0.250
Ce 0.857 0.761 0.750
Ce 0.904 0.143 0.750
Ce 0.990 0.392 0.750
Sb 0.002 0.721 0.750
Sb 0.103 0.508 0.250
Sb 0.128 0.354 0.750
Sb 0.137 0.629 0.750
Sb 0.180 0.752 0.250
Sb 0.227 0.872 0.750
Sb 0.248 0.427 0.250
Sb 0.279 0.281 0.750
Sb 0.281 0.002 0.250
Sb 0.333 0.667 0.250
Sb 0.354 0.227 0.250
Sb 0.371 0.508 0.750
Sb 0.405 0.897 0.250
Sb 0.427 0.180 0.750
Sb 0.492 0.595 0.250
Sb 0.492 0.863 0.750
Sb 0.508 0.137 0.250
Sb 0.508 0.405 0.750
Sb 0.573 0.820 0.250
Sb 0.595 0.103 0.750
Sb 0.629 0.492 0.250
Sb 0.646 0.773 0.750
Sb 0.667 0.333 0.750
Sb 0.719 0.998 0.750
Sb 0.721 0.719 0.250
Sb 0.752 0.573 0.750
Sb 0.773 0.128 0.250
Sb 0.820 0.248 0.750
Sb 0.863 0.371 0.250
Sb 0.872 0.646 0.250
Sb 0.897 0.492 0.750
Sb 0.998 0.279 0.250
Cl 0.049 0.149 0.750
Cl 0.100 0.951 0.750
Cl 0.149 0.100 0.250
Cl 0.851 0.900 0.750
Cl 0.900 0.049 0.250
Cl 0.951 0.851 0.250

Calculated values
The value obtained for the raw total energy is -5.442 eV/atom. The volume is 1610.5 Å³ per cell. Its symmetry is P6_3/m. The mass density is 6.8 g/cm³.

---

Entry from the Materials Project database: HoTmAl2 after structural relaxation (PBE).

a = 5.034 Å, b = 5.034 Å, c = 5.034 Å
α = 60.00°, β = 60.00°, γ = 60.00°
Fractional positions:
Ho 0.000 0.000 0.000
Tm 0.500 0.500 0.500
Al 0.250 0.250 0.250
Al 0.750 0.750 0.750

Calculated values
The value obtained for the raw total energy is -4.527 eV/atom. The volume is 90.2 Å³ per cell. Its symmetry is Fm-3m. The mass density is 7.1 g/cm³.

---

Entry from the Materials Project database: KErS2 after structural relaxation (PBE).

a = 7.718 Å, b = 7.718 Å, c = 7.718 Å
α = 30.18°, β = 30.18°, γ = 30.18°
Fractional positions:
K 0.000 0.000 0.000
Er 0.500 0.500 0.500
S 0.233 0.233 0.233
S 0.767 0.767 0.767

Calculated values
The value obtained for the raw total energy is -5.369 eV/atom. The volume is 102.9 Å³ per cell. Its symmetry is R-3m. The mass density is 4.4 g/cm³.

---

Entry from the Materials Project database: Tm3Th after structural relaxation (PBE).

a = 6.078 Å, b = 6.078 Å, c = 6.078 Å
α = 131.36°, β = 131.36°, γ = 71.24°
Fractional positions:
Tm 0.000 0.000 0.000
Tm 0.250 0.750 0.500
Tm 0.750 0.250 0.500
Th 0.500 0.500 0.000

Calculated values
The value obtained for the raw total energy is -5.163 eV/atom. The volume is 123.8 Å³ per cell. Its symmetry is I4/mmm. The mass density is 9.9 g/cm³.

---

Entry from the Materials Project database: Y8Rh5C12 after structural relaxation (PBE).

a = 14.123 Å, b = 14.123 Å, c = 7.439 Å
α = 93.78°, β = 93.78°, γ = 14.53°
Fractional positions:
Y 0.047 0.047 0.297
Y 0.088 0.088 0.829
Y 0.200 0.200 0.609
Y 0.206 0.206 0.116
Y 0.794 0.794 0.884
Y 0.800 0.800 0.391
Y 0.912 0.912 0.171
Y 0.953 0.953 0.703
Rh 0.383 0.383 0.872
Rh 0.390 0.390 0.508
Rh 0.500 0.500 0.000
Rh 0.610 0.610 0.492
Rh 0.617 0.617 0.128
C 0.284 0.284 0.635
C 0.293 0.293 0.131
C 0.332 0.332 0.653
C 0.341 0.341 0.126
C 0.452 0.452 0.386
C 0.477 0.477 0.244
C 0.523 0.523 0.756
C 0.548 0.548 0.614
C 0.659 0.659 0.874
C 0.668 0.668 0.347
C 0.707 0.707 0.869
C 0.716 0.716 0.365

Calculated values
The value obtained for the raw total energy is -8.352 eV/atom. The volume is 371.3 Å³ per cell. Its symmetry is C2/m. The mass density is 6.1 g/cm³.

---

Entry from the Materials Project database: Mg7V after structural relaxation (PBE).

a = 6.291 Å, b = 6.291 Å, c = 5.061 Å
α = 90.00°, β = 90.00°, γ = 120.00°
Fractional positions:
Mg 0.000 0.000 0.000
Mg 0.168 0.336 0.500
Mg 0.168 0.832 0.500
Mg 0.506 0.012 0.000
Mg 0.506 0.494 0.000
Mg 0.664 0.832 0.500
Mg 0.988 0.494 0.000
V 0.667 0.333 0.500

Calculated values
The value obtained for the raw total energy is -2.378 eV/atom. The volume is 173.4 Å³ per cell. Its symmetry is P-6m2. The mass density is 2.1 g/cm³.